1.
Density functional theory data (GGA+U) for K2Be3Co2F12 after structural relaxation.

abc: 10.254 10.254 10.254
angles: 90.00 90.00 90.00
Space group P2_13 (No. 198)
Inequivalent atoms, fractional coordinates:
1 K 0.051 0.051 0.051
2 K 0.184 0.316 0.684
3 Be 0.021 0.214 0.376
4 Co 0.100 0.900 0.400
5 Co 0.164 0.664 0.836
6 F 0.004 0.562 0.768
7 F 0.016 0.069 0.329
8 F 0.047 0.804 0.228
9 F 0.097 0.837 0.758

## Properties
Magnetic moment ... 0.32 μB per atom
Energy relative to the elements ... -2.993 eV per atom
Crystal system ... cubic
Corrected total energy (MP2020 scheme) ... -5.657 eV per atom
VASP energy ... -5.193 eV per atom


2.
Density functional theory data (GGA+U) for K2Be2CoO6F8 after structural relaxation.

abc: 5.979 11.401 8.136
angles: 90.00 105.44 90.00
Space group P2_1/c (No. 14)
Inequivalent atoms, fractional coordinates:
1 K 0.143 0.150 0.385
2 Be 0.252 0.650 0.900
3 Co 0.500 0.000 0.000
4 O 0.223 0.564 0.504
5 O 0.340 0.103 0.852
6 O 0.455 0.106 0.152
7 F 0.084 0.747 0.408
8 F 0.128 0.565 0.745
9 F 0.283 0.571 0.059
10 F 0.483 0.697 0.872

## Properties
Magnetic moment ... 0.58 μB per atom
Energy relative to the elements ... -1.672 eV per atom
Crystal system ... monoclinic
Corrected total energy (MP2020 scheme) ... -4.926 eV per atom
VASP energy ... -4.428 eV per atom


3.
Density functional theory data (GGA+U) for Be2CoN2F14 after structural relaxation.

abc: 5.709 10.582 10.024
angles: 90.00 102.57 90.00
Space group P2_1/c (No. 14)
Inequivalent atoms, fractional coordinates:
1 Be 0.160 0.221 0.089
2 Co 0.000 0.000 0.000
3 N 0.444 0.644 0.168
4 F 0.012 0.623 0.357
5 F 0.067 0.156 0.546
6 F 0.206 0.594 0.618
7 F 0.246 0.123 0.984
8 F 0.370 0.108 0.388
9 F 0.407 0.541 0.241
10 F 0.418 0.241 0.211

## Properties
Magnetic moment ... 0.05 μB per atom
Energy relative to the elements ... -1.774 eV per atom
Crystal system ... monoclinic
Polymorph energy (0 for the lowest one) ... 0.00 eV per formula unit
Corrected total energy (MP2020 scheme) ... -4.830 eV per atom
VASP energy ... -4.403 eV per atom